1.
A plane-wave DFT calculation with PBE was carried out for CrSbSe3 after structural relaxation.

Properties
SG = Pnma, No. 62

Cell: 3.846 9.394 13.461 Å, 90.00 90.00 90.00°
Sites, in units of the cell vectors:
Se 0.750 0.287 0.291
Se 0.750 0.675 0.482
Se 0.750 0.995 0.606
Se 0.250 0.825 0.982
Se 0.250 0.005 0.394
Se 0.750 0.175 0.018
Se 0.250 0.213 0.791
Se 0.750 0.495 0.894
Se 0.250 0.713 0.709
Se 0.750 0.787 0.209
Se 0.250 0.325 0.518
Se 0.250 0.505 0.106
Sb 0.750 0.529 0.656
Sb 0.250 0.971 0.156
Sb 0.750 0.029 0.844
Sb 0.250 0.471 0.344
Cr 0.250 0.343 0.958
Cr 0.250 0.843 0.542
Cr 0.750 0.657 0.042
Cr 0.750 0.157 0.458


2.
A plane-wave DFT calculation with PBE was carried out for EuHfZrSnO6 after structural relaxation.

Properties
Size of the total moment = 7.00 μB per cell
SG = F-43m, No. 216

Cell: 5.921 5.921 5.921 Å, 60.00 60.00 60.00°
Sites, in units of the cell vectors:
Zr 0.500 0.500 0.500
Sn 0.750 0.750 0.750
O 0.752 0.752 0.248
O 0.752 0.248 0.752
O 0.752 0.248 0.248
O 0.248 0.752 0.248
O 0.248 0.248 0.752
O 0.248 0.752 0.752
Eu 0.250 0.250 0.250
Hf 0.000 0.000 0.000


3.
A plane-wave DFT calculation with PBE was carried out for MgSbPd2 after structural relaxation.

Properties
SG = Fm-3m, No. 225

Cell: 4.633 4.633 4.633 Å, 60.00 60.00 60.00°
Sites, in units of the cell vectors:
Pd 0.750 0.750 0.750
Pd 0.250 0.250 0.250
Sb 0.000 0.000 0.000
Mg 0.500 0.500 0.500


| no. | raw total energy (eV/atom) | E_form (meV/atom) |
| --- | --- | --- |
| 1 | -5.257 | -686 |
| 2 | -9.036 | -3202 |
| 3 | -4.634 | -612 |